a | Here is Br after structural relaxation from the Materials Project database. Energies are from r²SCAN.

Output
ρ in g/cm³: 3.995

a b c (Å): 4.2552 4.1557 8.7454
angles (deg): 90.00 90.00 120.80
Fractional coordinates of all 4 atoms:
1 Br 0.1401 0.0000 0.6159
2 Br 0.3599 0.0000 0.1159
3 Br 0.6401 0.0000 0.8841
4 Br 0.8599 0.0000 0.3841

***

b | Here is Br after structural relaxation from the Materials Project database. Energies are from r²SCAN.

Output
ρ in g/cm³: 4.189

a b c (Å): 2.5735 3.4400 4.1733
angles (deg): 114.34 107.96 90.00
Fractional coordinates of all 1 atoms:
1 Br 0.0000 0.0000 0.0000

***

Stability check: which of them is least stable? b.

***

a | Here is Bi after structural relaxation from the Materials Project database. Energies are from r²SCAN.

Output
ρ in g/cm³: 9.485

a b c (Å): 4.8680 4.8680 4.8680
angles (deg): 55.56 55.56 55.56
Fractional coordinates of all 2 atoms:
1 Bi 0.2320 0.2320 0.2320
2 Bi 0.7680 0.7680 0.7680

***

b | Here is Bi after structural relaxation from the Materials Project database. Energies are from r²SCAN.

Output
ρ in g/cm³: 10.290

a b c (Å): 6.8549 6.8549 6.5137
angles (deg): 90.00 90.00 118.18
Fractional coordinates of all 8 atoms:
1 Bi 0.7786 0.2214 0.0000
2 Bi 0.2786 0.7214 0.5000
3 Bi 0.2337 0.2337 0.4975
4 Bi 0.7337 0.7337 0.0025
5 Bi 0.7663 0.7663 0.5025
6 Bi 0.2663 0.2663 0.9975
7 Bi 0.2214 0.7786 0.0000
8 Bi 0.7214 0.2786 0.5000

***

c | Here is Bi after structural relaxation from the Materials Project database. Energies are from r²SCAN.

Output
ρ in g/cm³: 10.109

a b c (Å): 4.5264 4.6584 7.8104
angles (deg): 123.51 90.00 90.00
Fractional coordinates of all 4 atoms:
1 Bi 0.2500 0.9990 0.2489
2 Bi 0.7500 0.0010 0.7511
3 Bi 0.7500 0.5026 0.2513
4 Bi 0.2500 0.4974 0.7487

***

Stability check: which of them is least stable? b.

***

a | Here is I after structural relaxation from the Materials Project database. Energies are from r²SCAN.

Output
ρ in g/cm³: 4.841

a b c (Å): 4.6291 4.4833 9.7962
angles (deg): 90.00 90.00 121.08
Fractional coordinates of all 4 atoms:
1 I 0.6591 0.0000 0.8800
2 I 0.8409 0.0000 0.3800
3 I 0.3409 0.0000 0.1200
4 I 0.1591 0.0000 0.6200

***

b | Here is I after structural relaxation from the Materials Project database. Energies are from r²SCAN.

Output
ρ in g/cm³: 5.196

a b c (Å): 3.2252 3.2252 4.4825
angles (deg): 109.42 109.42 94.36
Fractional coordinates of all 1 atoms:
1 I 0.0000 0.0000 0.0000

***

Stability check: which of them is least stable? b.